Entry 1:
The following is a DFT calculation (meta-GGA r2SCAN) of crystalline ErCu2O4 at its relaxed geometry.

The structure in extended XYZ format:
```
14
Lattice="-3.899 -3.050 2.528 0.393 -3.675 -4.240 5.138 0.995 3.221" Properties=species:S:1:pos:R:3 pbc="T T T"
Cu 0.816 -2.865 0.754
Cu 2.766 -1.340 -0.510
Cu -1.753 -3.362 -0.856
Cu -1.949 -1.525 1.264
O -1.092 -4.782 0.148
O 2.724 -0.948 1.361
O 1.860 -3.958 -0.415
O -0.160 -2.446 -0.862
O -0.228 -1.771 1.924
O 1.792 -3.284 2.371
O -2.583 -3.112 1.940
O 4.216 -2.617 -0.431
Er 0.491 -2.381 4.097
Er 1.142 -3.349 -2.588
```

Output
As for the total energy: -186.41 eV/cell. For the theoretical density, the calculation gives 8.00 g/cm³. As for the space group: C2/c (15). The formation energy is -13.696 eV/f.u.

---

Entry 2:
The following is a DFT calculation (meta-GGA r2SCAN) of crystalline ErCuP2 at its relaxed geometry.

The structure in extended XYZ format:
```
16
Lattice="3.686 0.003 0.000 -0.003 3.712 0.000 0.000 0.000 19.319" Properties=species:S:1:pos:R:3 pbc="T T T"
P 0.920 2.682 3.321
P 2.763 1.033 15.998
P 0.918 2.888 12.981
P 0.921 0.728 9.631
P 0.921 1.129 19.291
P 2.762 2.987 9.688
P 2.762 2.585 0.028
P 2.765 0.827 6.338
Cu 2.763 2.685 4.831
Cu 0.920 1.029 14.489
Cu 2.761 2.887 14.490
Cu 0.922 0.828 4.829
Er 0.920 2.680 7.407
Er 0.918 2.889 17.067
Er 2.765 0.826 2.253
Er 2.763 1.034 11.912
```

Output
As for the total energy: -266.72 eV/cell. For the theoretical density, the calculation gives 7.36 g/cm³. As for the space group: Pnma (62). The formation energy is -3.905 eV/f.u.